(1)
Compound: Sn2P3O10
Source: the Materials Project database
Functional: PBE
Structure: relaxed

abc: 8.038 9.775 12.626
angles: 76.57 90.00 90.00
Sites, in units of the cell vectors:
O1 0.198 0.317 0.693
O2 0.583 0.342 0.699
O3 0.022 0.737 0.936
O4 0.391 0.378 0.067
O5 0.698 0.183 0.307
O6 0.886 0.438 0.282
O7 0.609 0.622 0.933
O8 0.280 0.502 0.473
O9 0.224 0.625 0.081
O10 0.724 0.875 0.919
O11 0.917 0.842 0.699
O12 0.397 0.121 0.312
O13 0.417 0.658 0.301
O14 0.720 0.498 0.527
O15 0.067 0.343 0.865
O16 0.802 0.683 0.307
O17 0.109 0.878 0.067
O18 0.308 0.429 0.287
O19 0.897 0.379 0.688
O20 0.276 0.125 0.081
O21 0.103 0.621 0.312
O22 0.978 0.263 0.064
O23 0.933 0.657 0.135
O24 0.614 0.938 0.282
O25 0.522 0.763 0.064
O26 0.083 0.158 0.301
O27 0.808 0.071 0.713
O28 0.433 0.843 0.865
O29 0.567 0.157 0.135
O30 0.780 0.998 0.527
O31 0.192 0.929 0.287
O32 0.114 0.562 0.718
O33 0.776 0.375 0.919
O34 0.478 0.237 0.936
O35 0.692 0.571 0.713
O36 0.302 0.817 0.693
O37 0.220 0.002 0.473
O38 0.603 0.879 0.688
O39 0.386 0.062 0.718
O40 0.891 0.122 0.933
P1 0.575 0.092 0.265
P2 0.581 0.772 0.947
P3 0.081 0.728 0.053
P4 0.075 0.408 0.735
P5 0.282 0.545 0.351
P6 0.718 0.455 0.649
P7 0.425 0.908 0.735
P8 0.419 0.228 0.053
P9 0.218 0.045 0.351
P10 0.919 0.272 0.947
P11 0.782 0.955 0.649
P12 0.925 0.592 0.265
Sn1 0.608 0.734 0.409
Sn2 0.448 0.548 0.147
Sn3 0.552 0.452 0.853
Sn4 0.392 0.266 0.591
Sn5 0.948 0.952 0.853
Sn6 0.108 0.766 0.591
Sn7 0.052 0.048 0.147
Sn8 0.892 0.234 0.409

Summary:
As for the total energy: -406.3 eV for the cell shown. As for the offset from the most stable computed form: 49 meV/atom. The energy relative to the elements comes out at -2313 meV/atom. The space group is No. 14. The magnetic moment is 1.00 μB per formula unit.

(2)
Compound: SnP2O7
Source: the Materials Project database
Functional: PBE
Structure: relaxed

abc: 5.175 8.750 13.760
angles: 64.37 90.00 90.00
Sites, in units of the cell vectors:
O1 0.783 0.319 0.758
O2 0.918 0.272 0.938
O3 0.688 0.511 0.065
O4 0.717 0.319 0.258
O5 0.037 0.192 0.412
O6 0.958 0.719 0.863
O7 0.840 0.018 0.895
O8 0.071 0.795 0.376
O9 0.042 0.281 0.137
O10 0.312 0.489 0.935
O11 0.340 0.982 0.605
O12 0.217 0.681 0.242
O13 0.160 0.982 0.105
O14 0.283 0.681 0.742
O15 0.542 0.719 0.363
O16 0.429 0.795 0.876
O17 0.929 0.205 0.624
O18 0.582 0.272 0.438
O19 0.458 0.281 0.637
O20 0.082 0.728 0.062
O21 0.188 0.489 0.435
O22 0.537 0.808 0.088
O23 0.418 0.728 0.562
O24 0.812 0.511 0.565
O25 0.463 0.192 0.912
O26 0.963 0.808 0.588
O27 0.571 0.205 0.124
O28 0.660 0.018 0.395
Sn1 0.754 0.765 0.474
Sn2 0.246 0.235 0.526
Sn3 0.746 0.765 0.974
Sn4 0.254 0.235 0.026
P1 0.258 0.670 0.361
P2 0.749 0.191 0.882
P3 0.249 0.809 0.618
P4 0.742 0.330 0.639
P5 0.758 0.330 0.139
P6 0.751 0.191 0.382
P7 0.251 0.809 0.118
P8 0.242 0.670 0.861

Summary:
As for the total energy: -279.6 eV for the cell shown. As for the offset from the most stable computed form: 2 meV/atom. The energy relative to the elements comes out at -2525 meV/atom. The space group is No. 14.

(3)
Compound: Sn2P2O7
Source: the Materials Project database
Functional: PBE
Structure: relaxed

abc: 6.986 7.044 13.018
angles: 83.33 89.97 89.99
Sites, in units of the cell vectors:
P1 0.833 0.697 0.915
P2 0.768 0.099 0.400
P3 0.167 0.303 0.085
P4 0.184 0.701 0.412
P5 0.816 0.299 0.588
P6 0.424 0.292 0.900
P7 0.576 0.708 0.100
P8 0.232 0.901 0.600
O1 0.704 0.864 0.139
O2 0.299 0.858 0.346
O3 0.705 0.609 0.014
O4 0.296 0.136 0.861
O5 0.678 0.466 0.548
O6 0.913 0.078 0.315
O7 0.701 0.142 0.654
O8 0.992 0.368 0.641
O9 0.470 0.457 0.819
O10 0.299 0.092 0.539
O11 0.397 0.796 0.041
O12 0.401 0.770 0.638
O13 0.912 0.527 0.866
O14 0.111 0.790 0.515
O15 0.599 0.230 0.362
O16 0.002 0.187 0.041
O17 0.087 0.922 0.685
O18 0.301 0.171 0.155
O19 0.008 0.632 0.359
O20 0.088 0.473 0.134
O21 0.701 0.908 0.461
O22 0.889 0.210 0.485
O23 0.998 0.813 0.959
O24 0.322 0.534 0.452
O25 0.530 0.543 0.181
O26 0.295 0.391 0.986
O27 0.699 0.829 0.845
O28 0.603 0.204 0.959
Sn1 0.090 0.791 0.136
Sn2 0.661 0.619 0.377
Sn3 0.745 0.821 0.650
Sn4 0.339 0.381 0.623
Sn5 0.667 0.197 0.138
Sn6 0.910 0.209 0.864
Sn7 0.333 0.803 0.862
Sn8 0.255 0.179 0.350

Summary:
As for the total energy: -297.3 eV for the cell shown. As for the offset from the most stable computed form: 37 meV/atom. The energy relative to the elements comes out at -2333 meV/atom. The space group is No. 2. The magnetic moment is 0.00 μB per formula unit.

(4)
Compound: SnP2O9
Source: the Materials Project database
Functional: PBE
Structure: relaxed

abc: 5.108 5.108 14.863
angles: 87.04 87.04 60.25
Sites, in units of the cell vectors:
O1 0.909 0.825 0.093
O2 0.407 0.827 0.783
O3 0.175 0.091 0.407
O4 0.184 0.349 0.576
O5 0.289 0.607 0.927
O6 0.349 0.184 0.076
O7 0.607 0.289 0.427
O8 0.825 0.909 0.593
O9 0.593 0.173 0.217
O10 0.372 0.628 0.250
O11 0.816 0.651 0.424
O12 0.393 0.711 0.573
O13 0.091 0.175 0.907
O14 0.827 0.407 0.283
O15 0.711 0.393 0.073
O16 0.651 0.816 0.924
O17 0.628 0.372 0.750
O18 0.173 0.593 0.717
Sn1 0.500 0.000 0.500
Sn2 0.000 0.500 0.000
P1 0.854 0.353 0.389
P2 0.353 0.854 0.889
P3 0.647 0.146 0.111
P4 0.146 0.647 0.611

Summary:
As for the total energy: -150.2 eV for the cell shown. As for the offset from the most stable computed form: 0 meV/atom. The energy relative to the elements comes out at -1825 meV/atom. The space group is No. 15. The magnetic moment is 4.00 μB per formula unit.